Entry 1:
# Ce3Ag (PBE, relaxed)
data_Ce3Ag
_chemical_formula_sum 'Ce6 Ag2'
_symmetry_space_group_name_H-M 'P 1'
_symmetry_Int_Tables_number 1
_cell_length_a 6.8295
_cell_length_b 6.8295
_cell_length_c 5.2112
_cell_angle_alpha 90.00
_cell_angle_beta 90.00
_cell_angle_gamma 120.00
loop_
_symmetry_equiv_pos_as_xyz
'x,y,z'
loop_
_atom_site_label
_atom_site_type_symbol
_atom_site_fract_x
_atom_site_fract_y
_atom_site_fract_z
Ce1 Ce 0.1756 0.3513 0.2500
Ce2 Ce 0.1756 0.8244 0.2500
Ce3 Ce 0.3513 0.1756 0.7500
Ce4 Ce 0.6487 0.8244 0.2500
Ce5 Ce 0.8244 0.1756 0.7500
Ce6 Ce 0.8244 0.6487 0.7500
Ag1 Ag 0.3333 0.6667 0.7500
Ag2 Ag 0.6667 0.3333 0.2500
# E_form: 0.4 eV/f.u.
# total magnetization: 2.5 μB per formula unit
# calculated total energy: -20.26 eV/f.u.

Entry 2:
# CeAg2 (PBE, relaxed)
data_CeAg2
_chemical_formula_sum 'Ce2 Ag4'
_symmetry_space_group_name_H-M 'P 1'
_symmetry_Int_Tables_number 1
_cell_length_a 5.8978
_cell_length_b 5.8978
_cell_length_c 5.8978
_cell_angle_alpha 130.65
_cell_angle_beta 114.32
_cell_angle_gamma 86.37
loop_
_symmetry_equiv_pos_as_xyz
'x,y,z'
loop_
_atom_site_label
_atom_site_type_symbol
_atom_site_fract_x
_atom_site_fract_y
_atom_site_fract_z
Ce1 Ce 0.2551 0.0051 0.2500
Ce2 Ce 0.7449 0.9949 0.7500
Ag1 Ag 0.1615 0.6673 0.4943
Ag2 Ag 0.3270 0.3327 0.9943
Ag3 Ag 0.6730 0.6673 0.0057
Ag4 Ag 0.8385 0.3327 0.5057
# E_form: -0.6 eV/f.u.
# total magnetization: 1.8 μB per formula unit
# calculated total energy: -12.15 eV/f.u.

Entry 3:
# CeAg2 (PBE, relaxed)
data_CeAg2
_chemical_formula_sum 'Ce1 Ag2'
_symmetry_space_group_name_H-M 'P 1'
_symmetry_Int_Tables_number 1
_cell_length_a 4.9554
_cell_length_b 4.9554
_cell_length_c 3.1982
_cell_angle_alpha 90.00
_cell_angle_beta 90.00
_cell_angle_gamma 120.42
loop_
_symmetry_equiv_pos_as_xyz
'x,y,z'
loop_
_atom_site_label
_atom_site_type_symbol
_atom_site_fract_x
_atom_site_fract_y
_atom_site_fract_z
Ce1 Ce 0.0000 0.0000 0.0000
Ag1 Ag 0.3327 0.6673 0.5000
Ag2 Ag 0.6673 0.3327 0.5000
# E_form: -0.6 eV/f.u.
# calculated total energy: -12.15 eV/f.u.

Entry 4:
# CeAg (PBE, relaxed)
data_CeAg
_chemical_formula_sum 'Ce1 Ag1'
_symmetry_space_group_name_H-M 'P 1'
_symmetry_Int_Tables_number 1
_cell_length_a 3.7331
_cell_length_b 3.7331
_cell_length_c 3.7331
_cell_angle_alpha 90.00
_cell_angle_beta 90.00
_cell_angle_gamma 90.00
loop_
_symmetry_equiv_pos_as_xyz
'x,y,z'
loop_
_atom_site_label
_atom_site_type_symbol
_atom_site_fract_x
_atom_site_fract_y
_atom_site_fract_z
Ce1 Ce 0.0000 0.0000 0.0000
Ag1 Ag 0.5000 0.5000 0.5000
# E_form: -0.1 eV/f.u.
# total magnetization: 1.0 μB per formula unit
# calculated total energy: -8.87 eV/f.u.

Entry 5:
# CeAg2 (PBE, relaxed)
data_CeAg2
_chemical_formula_sum 'Ce2 Ag4'
_symmetry_space_group_name_H-M 'P 1'
_symmetry_Int_Tables_number 1
_cell_length_a 5.9323
_cell_length_b 5.9323
_cell_length_c 5.9323
_cell_angle_alpha 130.37
_cell_angle_beta 113.21
_cell_angle_gamma 87.60
loop_
_symmetry_equiv_pos_as_xyz
'x,y,z'
loop_
_atom_site_label
_atom_site_type_symbol
_atom_site_fract_x
_atom_site_fract_y
_atom_site_fract_z
Ce1 Ce 0.2680 0.0180 0.2500
Ce2 Ce 0.7320 0.9820 0.7500
Ag1 Ag 0.1473 0.6665 0.4809
Ag2 Ag 0.3144 0.3335 0.9809
Ag3 Ag 0.6856 0.6665 0.0191
Ag4 Ag 0.8527 0.3335 0.5191
# E_form: -0.5 eV/f.u.
# total magnetization: 1.5 μB per formula unit
# calculated total energy: -12.14 eV/f.u.

Entry 6:
# CeAg (PBE, relaxed)
data_CeAg
_chemical_formula_sum 'Ce1 Ag1'
_symmetry_space_group_name_H-M 'P 1'
_symmetry_Int_Tables_number 1
_cell_length_a 3.2030
_cell_length_b 3.2030
_cell_length_c 4.6388
_cell_angle_alpha 90.00
_cell_angle_beta 90.00
_cell_angle_gamma 90.00
loop_
_symmetry_equiv_pos_as_xyz
'x,y,z'
loop_
_atom_site_label
_atom_site_type_symbol
_atom_site_fract_x
_atom_site_fract_y
_atom_site_fract_z
Ce1 Ce 0.0000 0.0000 0.0000
Ag1 Ag 0.5000 0.5000 0.5000
# E_form: -0.1 eV/f.u.
# total magnetization: 0.5 μB per formula unit
# calculated total energy: -8.91 eV/f.u.